Below is an optimized crystal structure of ThPd3, with properties calculated at the meta-GGA r2SCAN level.

a b c (Å): 5.8876 5.8876 9.8985
angles (deg): 90.00 90.00 120.00
Last column: nearest neighbours and their distance in Å.
Fractional positions:
1 Pd 0.3486 0.1743 0.2500  8 Pd 2.81-3.08, 4 Th 2.94-3.05
2 Pd 0.1743 0.8257 0.7500  8 Pd 2.81-3.08, 4 Th 2.94-3.05
3 Pd 0.8257 0.1743 0.2500  8 Pd 2.81-3.08, 4 Th 2.94-3.05
4 Pd 0.0000 0.5000 0.0000  4 Th 2.94-3.00, 8 Pd 2.94-2.98
5 Pd 0.1743 0.3486 0.7500  8 Pd 2.81-3.08, 4 Th 2.94-3.05
6 Pd 0.8257 0.6514 0.2500  8 Pd 2.81-3.08, 4 Th 2.94-3.05
7 Pd 0.6514 0.8257 0.7500  8 Pd 2.81-3.08, 4 Th 2.94-3.05
8 Pd 0.5000 0.0000 0.5000  8 Pd 2.94-2.98, 4 Th 2.94-3.00
9 Pd 0.5000 0.0000 0.0000  8 Pd 2.94-2.98, 4 Th 2.94-3.00
10 Pd 0.0000 0.5000 0.5000  4 Th 2.94-3.00, 8 Pd 2.94-2.98
11 Pd 0.5000 0.5000 0.5000  8 Pd 2.94-2.98, 4 Th 2.94-3.00
12 Pd 0.5000 0.5000 0.0000  8 Pd 2.94-2.98, 4 Th 2.94-3.00
13 Th 0.6667 0.3333 0.7500  12 Pd 2.94-3.00
14 Th 0.0000 0.0000 0.5000  12 Pd 2.94-3.05
15 Th 0.0000 0.0000 0.0000  12 Pd 2.94-3.05
16 Th 0.3333 0.6667 0.2500  12 Pd 2.94-3.00

Output
Total DFT energy (no corrections) = -36.538 eV/atom
Space-group type = P6_3/mmc, No. 194
Calculated formation energy = -0.95 eV/atom